Record 1
A plane-wave DFT calculation with meta-GGA r2SCAN was carried out for a relaxed Ba2GeS4 crystal.

POSCAR file:
```
Ba2GeS4
1.0
6.897 0.000 0.000
0.000 9.065 0.000
0.000 0.000 12.443
S Ba Ge
16 8 4
direct
0.989 0.828 0.856
0.511 0.328 0.644
0.011 0.172 0.144
0.750 0.193 0.905
0.489 0.172 0.144
0.750 0.512 0.095
0.250 0.807 0.095
0.750 0.012 0.405
0.011 0.672 0.356
0.250 0.988 0.595
0.989 0.328 0.644
0.489 0.672 0.356
0.511 0.828 0.856
0.750 0.693 0.595
0.250 0.488 0.905
0.250 0.307 0.405
0.250 0.128 0.918
0.750 0.521 0.829
0.250 0.979 0.329
0.250 0.479 0.171
0.750 0.372 0.418
0.250 0.628 0.582
0.750 0.021 0.671
0.750 0.872 0.082
0.250 0.229 0.573
0.750 0.271 0.073
0.250 0.729 0.927
0.750 0.771 0.427
```

Output
ΔH_f (0 K) ... -1.642 eV/atom
ρ ... 4.060 g cm⁻³



Record 2
A plane-wave DFT calculation with meta-GGA r2SCAN was carried out for a relaxed Ba2H3I crystal.

POSCAR file:
```
Ba2H3I
1.0
-1.107 -3.686 -2.401
0.358 -0.257 4.515
-7.864 1.886 0.731
I Ba H
1 2 3
direct
0.000 0.000 0.000
0.667 0.333 0.685
0.333 0.667 0.315
0.667 0.333 0.356
0.000 0.000 0.500
0.333 0.667 0.644
```

Output
ΔH_f (0 K) ... -1.010 eV/atom
ρ ... 4.643 g cm⁻³



Record 3
A plane-wave DFT calculation with meta-GGA r2SCAN was carried out for a relaxed Ba3H12Ir2 crystal.

POSCAR file:
```
Ba3H12Ir2
1.0
-3.321 -3.104 3.111
5.426 0.038 0.952
-1.041 6.789 5.662
H Ba Ir
12 3 2
direct
0.626 0.813 0.347
0.187 0.813 0.347
0.813 0.187 0.653
0.472 0.528 0.128
0.187 0.374 0.347
0.472 0.945 0.128
0.374 0.187 0.653
0.528 0.472 0.872
0.813 0.626 0.653
0.528 0.055 0.872
0.945 0.472 0.872
0.055 0.528 0.128
0.000 0.000 0.000
0.333 0.667 0.642
0.667 0.333 0.358
0.333 0.667 0.240
0.667 0.333 0.760
```

Output
ΔH_f (0 K) ... -0.647 eV/atom
ρ ... 5.739 g cm⁻³



Record 4
A plane-wave DFT calculation with meta-GGA r2SCAN was carried out for a relaxed Ba2Mg3H10 crystal.

POSCAR file:
```
Ba2Mg3H10
1.0
-5.547 -7.608 0.801
-2.193 -8.303 -3.944
3.817 -5.882 3.560
Mg H Ba
6 20 4
direct
0.827 0.827 0.012
0.927 0.927 0.445
0.255 0.745 0.000
0.073 0.073 0.555
0.745 0.255 0.000
0.173 0.173 0.988
0.135 0.135 0.255
0.368 0.851 0.984
0.085 0.614 0.484
0.149 0.632 0.016
0.023 0.023 0.823
0.523 0.523 0.820
0.915 0.386 0.516
0.500 0.000 0.000
0.632 0.149 0.016
0.386 0.915 0.516
0.851 0.368 0.984
0.232 0.232 0.727
0.865 0.865 0.745
0.000 0.500 0.000
0.614 0.085 0.484
0.768 0.768 0.273
0.977 0.977 0.177
0.477 0.477 0.180
0.218 0.782 0.500
0.782 0.218 0.500
0.714 0.714 0.694
0.286 0.286 0.306
0.615 0.615 0.276
0.385 0.385 0.724
```

Output
ΔH_f (0 K) ... -0.447 eV/atom
ρ ... 3.097 g cm⁻³



Record 5
A plane-wave DFT calculation with meta-GGA r2SCAN was carried out for a relaxed Ba2MgH6 crystal.

POSCAR file:
```
Ba2MgH6
1.0
5.718 0.000 0.000
-2.859 4.952 0.000
0.000 0.000 4.538
H Ba Mg
6 2 1
direct
0.341 0.170 0.775
0.170 0.830 0.225
0.170 0.341 0.225
0.659 0.830 0.225
0.830 0.659 0.775
0.830 0.170 0.775
0.667 0.333 0.267
0.333 0.667 0.733
0.000 0.000 0.000
```

Output
ΔH_f (0 K) ... -0.535 eV/atom
ρ ... 3.942 g cm⁻³



Record 6
A plane-wave DFT calculation with meta-GGA r2SCAN was carried out for a relaxed BaH8O5 crystal.

POSCAR file:
```
BaH8O5
1.0
-4.064 -3.854 1.922
5.151 -5.502 -0.142
2.810 2.356 10.668
H O Ba
32 20 4
direct
0.398 0.457 0.180
0.398 0.457 0.320
0.898 0.043 0.680
0.016 0.170 0.417
0.484 0.670 0.417
0.102 0.957 0.180
0.330 0.195 0.524
0.602 0.543 0.820
0.602 0.543 0.680
0.102 0.957 0.320
0.670 0.805 0.024
0.984 0.830 0.917
0.764 0.039 0.524
0.330 0.195 0.976
0.264 0.461 0.476
0.764 0.039 0.976
0.830 0.305 0.476
0.016 0.170 0.083
0.898 0.043 0.820
0.236 0.961 0.024
0.170 0.695 0.524
0.516 0.330 0.917
0.484 0.670 0.083
0.830 0.305 0.024
0.170 0.695 0.976
0.984 0.830 0.583
0.736 0.539 0.524
0.236 0.961 0.476
0.670 0.805 0.476
0.516 0.330 0.583
0.264 0.461 0.024
0.736 0.539 0.976
0.025 0.900 0.250
0.635 0.729 0.095
0.135 0.771 0.595
0.750 0.940 0.922
0.250 0.060 0.078
0.365 0.271 0.905
0.975 0.100 0.750
0.135 0.771 0.905
0.750 0.440 0.578
0.475 0.400 0.250
0.250 0.060 0.422
0.865 0.229 0.095
0.250 0.560 0.078
0.525 0.600 0.750
0.750 0.440 0.922
0.865 0.229 0.405
0.750 0.940 0.578
0.250 0.560 0.422
0.365 0.271 0.595
0.635 0.729 0.405
0.077 0.463 0.750
0.923 0.537 0.250
0.423 0.963 0.750
0.577 0.037 0.250
```

Output
ΔH_f (0 K) ... -1.380 eV/atom
ρ ... 2.973 g cm⁻³



Record 7
A plane-wave DFT calculation with meta-GGA r2SCAN was carried out for a relaxed BaH16O10 crystal.

POSCAR file:
```
BaH16O10
1.0
0.597 -6.417 -0.121
5.095 0.548 -3.909
6.738 0.498 8.917
H O Ba
32 20 2
direct
0.541 0.037 0.629
0.963 0.539 0.371
0.150 0.667 0.969
0.850 0.666 0.531
0.720 0.403 0.145
0.150 0.334 0.469
0.461 0.037 0.129
0.850 0.333 0.031
0.723 0.594 0.351
0.666 0.850 0.031
0.405 0.722 0.352
0.278 0.595 0.148
0.597 0.280 0.355
0.282 0.402 0.356
0.277 0.406 0.649
0.334 0.150 0.969
0.037 0.541 0.129
0.718 0.598 0.644
0.402 0.282 0.856
0.595 0.278 0.648
0.403 0.720 0.645
0.280 0.597 0.855
0.333 0.850 0.531
0.594 0.723 0.851
0.963 0.459 0.871
0.722 0.405 0.852
0.037 0.461 0.629
0.406 0.277 0.149
0.598 0.718 0.144
0.539 0.963 0.871
0.459 0.963 0.371
0.667 0.150 0.469
0.855 0.657 0.619
0.857 0.343 0.120
0.140 0.655 0.122
0.498 0.499 0.184
0.657 0.855 0.119
0.345 0.860 0.378
0.862 0.654 0.377
0.138 0.346 0.623
0.860 0.345 0.878
0.657 0.143 0.380
0.346 0.138 0.123
0.501 0.502 0.316
0.499 0.498 0.684
0.343 0.145 0.881
0.502 0.501 0.816
0.655 0.140 0.622
0.343 0.857 0.620
0.143 0.657 0.880
0.654 0.862 0.877
0.145 0.343 0.381
0.999 0.001 0.250
0.001 0.999 0.750
```

Output
ΔH_f (0 K) ... -1.173 eV/atom
ρ ... 2.240 g cm⁻³



Record 8
A plane-wave DFT calculation with meta-GGA r2SCAN was carried out for a relaxed Rb2Ba6Sb5HO crystal.

POSCAR file:
```
Rb2Ba6Sb5HO
1.0
-4.450 4.450 14.250
4.450 -4.450 14.250
4.450 4.450 -14.250
Sb Rb Ba H O
10 4 12 2 2
direct
0.250 0.250 0.000
0.718 0.987 0.500
0.487 0.218 0.500
0.750 0.750 0.000
0.013 0.513 0.731
0.513 0.782 0.500
0.218 0.718 0.731
0.987 0.487 0.269
0.282 0.013 0.500
0.782 0.282 0.269
0.167 0.333 0.500
0.833 0.667 0.500
0.667 0.167 0.835
0.333 0.833 0.165
0.148 0.648 0.183
0.093 0.093 0.000
0.035 0.852 0.500
0.407 0.407 0.000
0.352 0.535 0.500
0.907 0.907 0.000
0.648 0.465 0.500
0.593 0.593 0.000
0.965 0.148 0.500
0.465 0.965 0.817
0.852 0.352 0.817
0.535 0.035 0.183
0.000 0.000 0.000
0.500 0.500 0.000
0.250 0.750 0.500
0.750 0.250 0.500
```

Output
ΔH_f (0 K) ... -1.227 eV/atom
ρ ... 4.769 g cm⁻³